Here is a relaxed structure of V3Ag from the Materials Project. Energies are from GGA-PBE. Values from VASP.

```
&SYSTEM
  ibrav = 0, nat = 4, ntyp = 2
/
ATOMIC_SPECIES
V 50.94 V.upf
Ag 107.87 Ag.upf
ATOMIC_POSITIONS crystal
V 0.750 0.250 0.500
V 0.250 0.750 0.500
V 0.500 0.500 0.000
Ag 0.000 0.000 0.000
CELL_PARAMETERS angstrom
-1.935 1.935 3.955
1.935 -1.935 3.955
1.935 1.935 -3.955
```

space-group type: No. 139
uncorrected energy: -7.15 eV per atom